# 1
A plane-wave DFT calculation with GGA-PBE was carried out for a relaxed Si17NO34 crystal.

extended XYZ file:
```
104
Lattice="13.364 -2.098 4.192 4.003 -12.708 4.801 8.664 -8.090 -7.749" Properties=species:S:1:pos:R:3 pbc="T T T"
Si 13.016 -11.448 0.622
Si 19.524 -17.173 0.933
Si 15.540 -10.114 2.050
Si 12.094 -14.020 2.275
Si 13.810 -12.319 -2.345
Si 10.620 -9.341 0.507
Si 17.000 -18.508 -0.496
Si 20.446 -14.602 -0.720
Si 18.730 -16.302 3.900
Si 21.920 -19.280 1.047
Si 14.722 -7.100 2.855
Si 12.309 -16.568 0.312
Si 13.380 -15.507 -2.572
Si 11.652 -6.618 1.892
Si 11.876 -10.730 -4.377
Si 16.227 -11.878 4.661
Si 14.076 -14.316 4.801
Si 9.885 -8.871 -2.597
Si 9.052 -13.527 3.225
Si 16.900 -11.518 -2.801
Si 17.980 -10.142 -0.058
Si 8.132 -10.607 2.122
Si 17.818 -21.521 -1.301
Si 20.230 -12.053 1.243
Si 19.159 -13.114 4.127
Si 20.888 -22.003 -0.338
Si 20.664 -17.891 5.932
Si 16.313 -16.743 -3.106
Si 18.464 -14.306 -3.246
Si 22.655 -19.750 4.151
Si 23.488 -15.094 -1.670
Si 15.640 -17.103 4.356
Si 14.560 -18.479 1.612
Si 24.408 -18.014 -0.567
N 0.000 0.000 0.000
N 6.508 -5.724 0.311
O 12.300 -15.794 -3.744
O 11.556 -5.424 0.802
O 14.868 -6.944 4.461
O 13.339 -17.632 0.968
O 13.191 -14.244 6.155
O 8.335 -9.283 -2.822
O 12.797 -9.832 -5.361
O 17.741 -12.435 4.515
O 18.452 -8.613 -0.311
O 7.754 -9.609 3.340
O 8.128 -14.707 2.610
O 17.729 -12.865 -3.152
O 10.841 -17.240 0.185
O 10.685 -6.287 3.149
O 15.740 -6.081 2.115
O 14.799 -16.186 -2.961
O 16.981 -10.489 -4.049
O 6.875 -10.729 1.107
O 9.007 -13.587 4.843
O 19.200 -10.989 0.586
O 16.121 -10.922 5.964
O 10.085 -7.300 -2.936
O 11.047 -11.816 -5.247
O 14.811 -15.756 4.706
O 15.147 -8.607 2.459
O 12.196 -15.302 1.307
O 13.601 -13.910 -2.475
O 11.120 -7.975 1.196
O 12.852 -11.533 -3.373
O 15.896 -10.984 3.357
O 13.075 -14.181 3.541
O 10.241 -9.095 -1.038
O 10.575 -13.789 2.757
O 15.352 -11.926 -2.589
O 16.768 -10.120 1.010
O 9.369 -9.959 1.310
O 17.393 -20.014 -0.904
O 20.344 -13.319 0.247
O 18.939 -14.711 4.029
O 21.420 -20.646 0.359
O 19.688 -17.088 4.927
O 16.644 -17.637 -1.802
O 19.465 -14.440 -1.986
O 22.299 -19.526 2.592
O 21.965 -14.832 -1.202
O 17.188 -16.695 4.143
O 15.772 -18.501 0.545
O 23.171 -18.662 0.245
O 13.189 -6.801 2.396
O 12.843 -16.096 -1.152
O 10.853 -9.779 -3.539
O 15.179 -13.117 4.782
O 8.536 -12.075 2.699
O 17.495 -10.822 -1.455
O 19.351 -21.820 -0.841
O 19.697 -12.526 2.707
O 21.687 -18.842 5.093
O 17.361 -15.504 -3.228
O 24.003 -16.547 -1.145
O 15.044 -17.799 3.010
O 14.276 -10.782 1.335
O 12.556 -12.732 1.447
O 13.412 -11.883 -0.860
O 11.820 -10.396 0.565
O 18.264 -17.839 0.220
O 19.984 -15.889 0.107
O 19.128 -16.738 2.414
O 20.720 -18.225 0.990
```

energy relative to the elements	-160.6	eV per formula unit
total energy after the MP2020 corrections	-0.303	Ha/atom

# 2
A plane-wave DFT calculation with GGA-PBE was carried out for a relaxed Sm5Si3NO12 crystal.

extended XYZ file:
```
42
Lattice="-7.202 6.317 -1.118 6.425 -1.290 -7.077 -4.007 -5.050 -2.718" Properties=species:S:1:pos:R:3 pbc="T T T"
Sm -0.124 -1.283 -6.451
Sm -4.661 1.260 -4.461
Sm -2.663 3.778 -3.106
Sm -2.121 -3.801 -7.806
Sm -3.175 -2.638 -3.925
Sm -1.609 2.615 -6.988
Sm -2.132 -0.214 -9.966
Sm -2.652 0.191 -0.946
Sm 1.939 -4.774 -7.496
Sm -6.723 4.750 -3.417
Si -5.717 -1.261 -2.735
Si 0.932 1.238 -8.177
Si -7.566 1.832 -5.756
Si 2.782 -1.856 -5.156
Si -3.713 -0.590 -6.936
Si -1.072 0.567 -3.976
N -3.005 -3.787 -2.038
N -1.002 -1.262 -0.679
O -0.989 -3.412 -5.708
O -3.795 3.389 -5.205
O -2.370 -1.447 -7.324
O -2.414 1.424 -3.588
O -0.008 -2.766 -8.354
O -4.776 2.743 -2.558
O -6.484 -0.146 -3.676
O 1.699 0.123 -7.236
O -6.219 1.066 -6.318
O 1.435 -1.089 -4.594
O -4.292 -0.939 -5.433
O -0.492 0.916 -5.479
O -4.165 -0.724 -2.595
O -0.620 0.700 -8.317
O -7.105 2.553 -4.347
O 0.905 2.622 -7.283
O 2.321 -2.576 -6.566
O -5.690 -2.646 -3.630
O -3.438 1.035 -6.934
O 3.846 -0.654 -5.531
O -1.346 -1.058 -3.978
O -8.630 0.631 -5.381
O 0.179 0.864 -2.944
O -4.963 -0.887 -7.969
```

energy relative to the elements	-72.9	eV per formula unit
total energy after the MP2020 corrections	-0.316	Ha/atom

# 3
A plane-wave DFT calculation with GGA-PBE was carried out for a relaxed Y3Si5N9O crystal.

extended XYZ file:
```
72
Lattice="-5.015 0.000 0.000 0.000 0.000 -10.723 0.000 -16.269 0.000" Properties=species:S:1:pos:R:3 pbc="T T T"
Y -3.332 -9.763 -9.954
Y -1.683 -6.506 -0.769
Y -1.683 -6.506 -4.592
Y -1.683 -1.628 -6.130
Y -3.332 -9.763 -6.130
Y -3.332 -14.641 -4.592
Y -3.332 -14.641 -0.769
Y -1.683 -1.628 -9.954
Y -3.524 -12.954 -8.042
Y -1.491 -3.316 -2.681
Y -1.491 -4.819 -8.042
Y -3.524 -11.450 -2.681
Si -1.256 -10.892 -8.042
Si -3.758 -5.377 -2.681
Si -3.758 -2.757 -8.042
Si -1.256 -13.512 -2.681
Si -4.489 -6.896 -9.611
Si -0.526 -9.373 -1.112
Si -0.526 -9.373 -4.249
Si -0.526 -15.031 -6.474
Si -4.489 -6.896 -6.474
Si -4.489 -1.239 -4.249
Si -4.489 -1.239 -1.112
Si -0.526 -15.031 -9.611
Si -3.061 -15.827 -8.042
Si -1.954 -0.442 -2.681
Si -1.954 -7.693 -8.042
Si -3.061 -8.577 -2.681
Si -0.913 -12.202 0.000
Si -4.101 -4.067 0.000
Si -4.101 -4.067 -5.361
Si -0.913 -12.202 -5.361
N -4.901 -13.491 -10.119
N -0.113 -2.778 -0.604
N -0.113 -2.778 -4.757
N -0.113 -5.357 -5.966
N -4.901 -13.491 -5.966
N -4.901 -10.913 -4.757
N -4.901 -10.913 -0.604
N -0.113 -5.357 -10.119
N -4.720 -15.247 -8.042
N -0.295 -1.022 -2.681
N -0.295 -7.112 -8.042
N -4.720 -9.157 -2.681
N -2.027 -9.368 -8.042
N -2.988 -6.901 -2.681
N -2.988 -1.233 -8.042
N -2.027 -15.036 -2.681
N -2.245 -15.164 -9.434
N -2.770 -1.106 -1.289
N -2.770 -1.106 -4.072
N -2.770 -7.029 -6.651
N -2.245 -15.164 -6.651
N -2.245 -9.240 -4.072
N -2.245 -9.240 -1.289
N -2.770 -7.029 -9.434
N 0.000 0.000 0.000
N 0.000 0.000 -5.361
N 0.000 -8.135 -5.361
N 0.000 -8.135 0.000
N -1.946 -11.666 -9.427
N -3.069 -4.603 -1.296
N -3.069 -4.603 -4.065
N -3.069 -3.532 -6.658
N -1.946 -11.666 -6.658
N -1.946 -12.737 -4.065
N -1.946 -12.737 -1.296
N -3.069 -3.532 -9.427
O -4.596 -10.844 -8.042
O -0.418 -5.426 -2.681
O -0.418 -2.709 -8.042
O -4.596 -13.560 -2.681
```

energy relative to the elements	-28.2	eV per formula unit
total energy after the MP2020 corrections	-0.316	Ha/atom

# 4
A plane-wave DFT calculation with GGA-PBE was carried out for a relaxed YSiNO2 crystal.

extended XYZ file:
```
30
Lattice="-3.257 4.087 -4.791 -3.778 -3.566 4.824 0.558 7.173 5.740" Properties=species:S:1:pos:R:3 pbc="T T T"
Y -3.069 6.334 -0.238
Y -3.687 -2.227 3.142
Y -3.348 2.748 -3.108
Y -3.408 1.360 6.012
Y -3.239 3.847 2.887
Y -3.518 0.260 0.017
Si -1.944 1.007 2.620
Si -4.660 4.816 5.504
Si -6.308 2.271 1.466
Si -4.533 6.687 3.153
Si -0.169 5.424 4.308
Si -1.817 2.878 0.269
N -3.789 5.691 4.325
N -2.585 8.536 0.653
N -2.983 2.698 7.987
N -3.494 4.996 -2.214
N -2.688 2.003 1.448
N -3.892 -0.842 5.120
O -2.474 -0.520 2.283
O -4.191 5.461 6.950
O -4.365 3.227 5.163
O -2.286 2.233 -1.177
O -5.424 3.349 2.372
O -4.003 8.214 3.491
O -4.177 5.981 1.703
O -1.053 4.345 3.401
O -0.876 6.620 5.222
O -5.601 1.074 0.552
O -2.112 4.467 0.610
O -2.300 1.714 4.070
```

energy relative to the elements	-14.4	eV per formula unit
total energy after the MP2020 corrections	-0.327	Ha/atom

# 5
A plane-wave DFT calculation with GGA-PBE was carried out for a relaxed YSiNO2 crystal.

extended XYZ file:
```
90
Lattice="3.544 -6.139 0.000 3.544 6.139 0.000 0.000 0.000 27.549" Properties=species:S:1:pos:R:3 pbc="T T T"
Y 6.967 -0.070 6.887
Y 0.121 -0.070 16.070
Y 0.121 0.070 20.662
Y 3.544 -5.999 25.253
Y 3.544 1.947 25.253
Y 3.458 -2.096 20.662
Y 3.544 -1.947 11.479
Y 3.544 -1.975 25.253
Y 3.630 -2.096 2.296
Y 3.483 2.082 2.296
Y 3.458 2.096 16.070
Y 3.483 -2.082 6.887
Y 3.606 -2.082 16.070
Y 3.606 2.082 20.662
Y 3.544 1.975 11.479
Y 6.967 0.070 2.296
Y 3.544 5.999 11.479
Y 3.630 2.096 6.887
Si 2.035 -0.508 0.052
Si 3.025 0.000 18.366
Si 2.967 -4.123 9.235
Si 5.054 0.508 13.827
Si 4.121 4.123 23.010
Si 4.121 -4.123 13.722
Si 1.458 1.508 4.644
Si 2.032 -3.519 0.000
Si 1.513 2.620 22.958
Si 2.967 4.123 27.497
Si 2.032 3.519 9.183
Si 5.054 -0.508 22.905
Si 5.631 1.508 18.314
Si 1.513 -2.620 13.775
Si 5.631 -1.508 18.418
Si 2.035 0.508 9.131
Si 4.063 0.000 4.592
Si 1.458 -1.508 4.539
N 4.242 2.015 13.809
N 3.920 -1.457 18.401
N 3.222 -5.580 13.775
N 0.323 -0.559 0.000
N 3.222 5.580 22.958
N 2.846 -2.015 0.035
N 3.169 1.457 4.626
N 3.222 2.666 22.992
N 3.920 1.457 18.332
N 6.443 0.000 18.366
N 3.222 -2.666 13.740
N 0.645 0.000 4.592
N 3.169 -1.457 4.557
N 0.323 0.559 9.183
N 3.866 2.666 27.515
N 3.866 -2.666 9.218
N 4.242 -2.015 22.923
N 2.846 2.015 9.149
O 1.398 2.046 15.164
O 2.472 3.905 16.977
O 1.110 1.900 21.526
O 4.888 -0.011 6.023
O 5.690 -2.046 1.389
O 1.398 -2.046 21.568
O 4.888 0.011 3.160
O 2.453 4.227 10.614
O 5.698 1.991 10.679
O 4.635 4.227 12.343
O 2.420 -0.208 7.688
O 4.618 0.188 24.347
O 1.390 1.991 12.279
O 4.617 -3.905 3.202
O 5.978 -1.900 7.752
O 1.110 -1.900 15.206
O 5.978 1.900 1.431
O 2.201 0.011 19.797
O 2.515 3.939 19.862
O 2.471 0.188 26.160
O 2.472 -3.905 19.755
O 5.690 2.046 7.794
O 2.453 -4.227 26.118
O 4.635 -4.227 24.389
O 4.669 -0.208 15.270
O 1.390 -1.991 24.453
O 2.471 -0.188 10.572
O 4.669 0.208 21.462
O 2.201 -0.011 16.935
O 4.617 3.905 5.981
O 4.574 -3.939 6.087
O 5.698 -1.991 26.054
O 2.515 -3.939 16.871
O 2.420 0.208 1.496
O 4.574 3.939 3.096
O 4.618 -0.188 12.385
```

energy relative to the elements	-14.4	eV per formula unit
total energy after the MP2020 corrections	-0.328	Ha/atom

# 6
A plane-wave DFT calculation with GGA-PBE was carried out for a relaxed Sn2N2O crystal.

extended XYZ file:
```
40
Lattice="-7.826 -3.466 -2.198 6.445 -4.521 -4.016 1.076 -0.494 8.767" Properties=species:S:1:pos:R:3 pbc="T T T"
Sn 0.980 -2.433 7.013
Sn -3.573 -6.164 4.533
Sn 1.149 -7.374 0.787
Sn 2.351 -3.686 4.193
Sn 1.080 -5.504 -2.151
Sn 1.848 -1.492 1.024
Sn -0.843 -8.163 -1.877
Sn -0.170 -4.271 1.379
Sn -3.952 -1.800 -1.137
Sn -3.487 -3.895 1.520
Sn 3.185 -4.652 1.050
Sn -1.550 -2.954 4.691
Sn -2.124 -6.878 1.533
Sn -2.555 -4.742 -1.633
Sn -1.432 -1.161 1.913
Sn -1.222 -6.107 -4.438
N 1.374 -3.417 -2.357
N 1.742 -3.437 2.132
N -5.186 -3.059 2.601
N 1.872 -5.816 4.428
N -0.988 -3.082 6.821
N -3.807 -5.817 2.405
N 4.922 -5.319 0.066
N -0.156 -6.318 2.206
N -7.300 -3.758 -0.054
N -4.281 -3.853 -0.561
N -1.930 -5.038 0.387
N 3.007 -6.768 1.529
N -1.013 -6.054 -2.241
N -5.073 -4.854 5.474
N -1.739 -5.114 4.921
N -1.638 -3.211 2.575
O 1.307 -5.155 -0.021
O 0.772 -2.340 4.745
O 4.592 -3.737 -2.865
O 3.145 -6.137 -3.020
O 4.134 -4.686 3.108
O 6.887 -4.761 2.525
O -0.207 -2.332 0.346
O 3.479 -2.772 0.075
```

energy relative to the elements	-2.2	eV per formula unit
total energy after the MP2020 corrections	-0.234	Ha/atom

Q: The highest energy relative to the elements belongs to which entry?
A: Sn2N2O